This record from Materials Project describes an optimized crystal structure of Li3V4O3F9. The functional is PBE+U.

Output
- Formation enthalpy at 0 K: -2.95 eV per atom
- ΔE to the lowest computed polymorph: 0.407 eV/f.u.

Unit cell a=5.1601 b=5.5648 c=9.0403 alpha=72.92 beta=89.93 gamma=62.67
Last column: nearest neighbours and their distance in Å.
Space group P1 (No. 1)
Inequivalent atoms, fractional coordinates:
Li 0.0000 0.0000 0.0000 x1  1 O 1.99, 2 F 2.02-2.05
Li 0.1567 0.6609 0.7106 x1  2 O 1.92-1.96, 1 F 1.93
Li 0.7350 0.4855 0.2371 x1  4 F 1.96-2.08
V 0.0493 0.8787 0.3471 x1  2 O 1.91-1.96, 4 F 2.03-2.08
V 0.2704 0.3693 0.0911 x1  2 O 1.86-1.93, 1 F 2.03
V 0.5816 0.8725 0.8454 x1  1 O 1.87, 4 F 2.01-2.08
V 0.8201 0.4024 0.5883 x1  1 O 1.85, 4 F 2.01-2.06
O 0.0980 0.1351 0.1619 x1  2 V 1.86-1.96, 1 Li 1.99
O 0.9911 0.6379 0.5290 x1  2 V 1.85-1.91, 1 Li 1.92
O 0.9912 0.6533 0.9057 x1  2 V 1.87-1.93, 1 Li 1.96
F 0.0129 0.6519 0.2096 x1  2 Li 2.01-2.25, 2 V 2.08-2.11
F 0.0538 0.1327 0.4683 x1  2 V 2.03-2.04
F 0.1226 0.1350 0.7891 x1  1 Li 2.05, 2 V 2.06-2.10
F 0.4684 0.6495 0.0380 x1  1 Li 1.96, 2 V 2.08-2.17
F 0.5059 0.6207 0.3985 x1  1 Li 1.98, 2 V 2.01-2.08
F 0.5380 0.6452 0.7200 x1  1 Li 1.93, 2 V 2.01-2.12
F 0.5612 0.1371 0.9628 x1  2 V 2.02-2.09, 1 Li 2.02
F 0.6071 0.1718 0.2721 x1  2 V 2.03-2.06, 1 Li 2.08
F 0.6355 0.1433 0.6599 x1  2 V 2.02-2.03